Entry 1:
# NdGe2Ir

Crystalline NdGe2Ir at its relaxed geometry (r²SCAN, Materials Project).

Calculated values
energy of formation: -0.885 eV per atom
final energy: -28.265 eV per atom
symmetry: No. 71

Cell: 9.5197 9.5197 9.5197 Å, 153.44 123.91 63.10°
Positions (direct):
1 Ir 0.1005 0.3536 0.7469
2 Ir 0.8995 0.6464 0.2531
3 Ir 0.3933 0.6464 0.7469
4 Ir 0.6067 0.3536 0.2531
5 Ge 0.9219 0.4219 0.5000
6 Ge 0.5773 0.5773 0.0000
7 Ge 0.0442 0.1993 0.8449
8 Ge 0.6456 0.8007 0.8449
9 Ge 0.4227 0.4227 0.0000
10 Ge 0.3544 0.1993 0.1551
11 Ge 0.9558 0.8007 0.1551
12 Ge 0.0781 0.5781 0.5000
13 Nd 0.7067 0.2067 0.5000
14 Nd 0.7401 0.0000 0.7401
15 Nd 0.2933 0.7933 0.5000
16 Nd 0.2599 0.0000 0.2599

Entry 2:
# Er2WO6

Crystalline Er2WO6 at its relaxed geometry (r²SCAN, Materials Project).

Calculated values
energy of formation: -3.360 eV per atom
final energy: -20.588 eV per atom
symmetry: No. 13

Cell: 5.2907 7.5689 11.2674 Å, 75.29 90.00 90.00°
Positions (direct):
1 Er 0.8154 0.2034 0.9217
2 Er 0.1846 0.7966 0.0783
3 Er 0.2609 0.0000 0.7500
4 Er 0.6830 0.5000 0.2500
5 Er 0.3170 0.5000 0.7500
6 Er 0.8154 0.7966 0.5783
7 Er 0.1846 0.2034 0.4217
8 Er 0.7391 0.0000 0.2500
9 W 0.7447 0.2783 0.6136
10 W 0.7447 0.7217 0.8864
11 W 0.2553 0.7217 0.3864
12 W 0.2553 0.2783 0.1136
13 O 0.4623 0.7886 0.2267
14 O 0.6413 0.5117 0.6136
15 O 0.3587 0.4883 0.3864
16 O 0.5377 0.2114 0.7733
17 O 0.4623 0.2114 0.2733
18 O 0.0175 0.2892 0.7290
19 O 0.9598 0.9387 0.8961
20 O 0.3587 0.5117 0.1136
21 O 0.9598 0.0613 0.6039
22 O 0.9825 0.7108 0.2710
23 O 0.8469 0.6330 0.0495
24 O 0.4694 0.1505 0.5698
25 O 0.5306 0.1505 0.0698
26 O 0.1531 0.3670 0.9505
27 O 0.1531 0.6330 0.5495
28 O 0.5377 0.7886 0.7267
29 O 0.8469 0.3670 0.4505
30 O 0.0402 0.0613 0.1039
31 O 0.9825 0.2892 0.2290
32 O 0.6413 0.4883 0.8864
33 O 0.0175 0.7108 0.7710
34 O 0.4694 0.8495 0.9302
35 O 0.0402 0.9387 0.3961
36 O 0.5306 0.8495 0.4302

Entry 3:
# NbBiO4

Crystalline NbBiO4 at its relaxed geometry (r²SCAN, Materials Project).

Calculated values
energy of formation: -2.229 eV per atom
final energy: -20.084 eV per atom
symmetry: No. 52

Cell: 5.0402 5.7406 11.7311 Å, 90.00 90.00 90.00°
Positions (direct):
1 O 0.9946 0.3577 0.8084
2 O 0.4946 0.8577 0.6916
3 O 0.5835 0.9205 0.0985
4 O 0.4946 0.6423 0.3084
5 O 0.4165 0.0795 0.9015
6 O 0.5054 0.3577 0.6916
7 O 0.9165 0.5795 0.5985
8 O 0.0054 0.6423 0.1916
9 O 0.0835 0.4205 0.4015
10 O 0.9946 0.1423 0.1916
11 O 0.4165 0.4205 0.0985
12 O 0.9165 0.9205 0.4015
13 O 0.0835 0.0795 0.5985
14 O 0.5835 0.5795 0.9015
15 O 0.5054 0.1423 0.3084
16 O 0.0054 0.8577 0.8084
17 Nb 0.7500 0.8486 0.2500
18 Nb 0.7500 0.6514 0.7500
19 Nb 0.2500 0.3486 0.2500
20 Nb 0.2500 0.1514 0.7500
21 Bi 0.2202 0.7500 0.5000
22 Bi 0.7202 0.2500 0.0000
23 Bi 0.7798 0.2500 0.5000
24 Bi 0.2798 0.7500 0.0000

Entry 4:
# TaAl2Ni9

Crystalline TaAl2Ni9 at its relaxed geometry (r²SCAN, Materials Project).

Calculated values
energy of formation: -0.414 eV per atom
final energy: -14.571 eV per atom
symmetry: No. 123

Cell: 3.5757 3.5757 10.5717 Å, 90.00 90.00 90.00°
Positions (direct):
1 Ni 0.5000 0.0000 0.8282
2 Ni 0.5000 0.0000 0.5000
3 Ni 0.5000 0.5000 0.6634
4 Ni 0.5000 0.5000 0.3366
5 Ni 0.5000 0.0000 0.1718
6 Ni 0.0000 0.5000 0.5000
7 Ni 0.5000 0.5000 0.0000
8 Ni 0.0000 0.5000 0.1718
9 Ni 0.0000 0.5000 0.8282
10 Al 0.0000 0.0000 0.3392
11 Al 0.0000 0.0000 0.6608
12 Ta 0.0000 0.0000 0.0000

Entry 5:
# Mg3MnH7

Crystalline Mg3MnH7 at its relaxed geometry (r²SCAN, Materials Project).

Calculated values
energy of formation: -0.291 eV per atom
final energy: -4.961 eV per atom
symmetry: No. 194

Cell: 4.6425 4.6425 10.1888 Å, 90.00 90.00 120.00°
Positions (direct):
1 Mg 0.0000 0.0000 0.7500
2 Mg 0.6667 0.3333 0.9343
3 Mg 0.6667 0.3333 0.5657
4 Mg 0.3333 0.6667 0.4343
5 Mg 0.3333 0.6667 0.0657
6 Mg 0.0000 0.0000 0.2500
7 H 0.1635 0.3270 0.5931
8 H 0.1635 0.8365 0.5931
9 H 0.3333 0.6667 0.2500
10 H 0.1635 0.8365 0.9069
11 H 0.8365 0.6730 0.4069
12 H 0.1635 0.3270 0.9069
13 H 0.6667 0.3333 0.7500
14 H 0.8365 0.1635 0.0931
15 H 0.3270 0.1635 0.4069
16 H 0.3270 0.1635 0.0931
17 H 0.8365 0.6730 0.0931
18 H 0.6730 0.8365 0.9069
19 H 0.8365 0.1635 0.4069
20 H 0.6730 0.8365 0.5931
21 Mn 0.0000 0.0000 0.0000
22 Mn 0.0000 0.0000 0.5000

Entry 6:
# Ho2P7Rh12

Crystalline Ho2P7Rh12 at its relaxed geometry (r²SCAN, Materials Project).

Calculated values
energy of formation: -1.006 eV per atom
final energy: -20.930 eV per atom
symmetry: No. 147

Cell: 9.5171 9.5172 3.8497 Å, 90.00 90.00 120.00°
Positions (direct):
1 Rh 0.1092 0.8481 0.7504
2 Rh 0.6180 0.5492 0.7504
3 Rh 0.2610 0.1091 0.2496
4 Rh 0.8481 0.7390 0.2496
5 Rh 0.8908 0.1519 0.2496
6 Rh 0.1519 0.2610 0.7504
7 Rh 0.4508 0.0689 0.7504
8 Rh 0.3820 0.4508 0.2496
9 Rh 0.7390 0.8909 0.7504
10 Rh 0.5492 0.9312 0.2496
11 Rh 0.0688 0.6180 0.2496
12 Rh 0.9312 0.3820 0.7504
13 P 0.0000 0.0000 0.5000
14 P 0.5942 0.7143 0.2446
15 P 0.7143 0.1201 0.7554
16 P 0.8798 0.5942 0.7554
17 P 0.2857 0.8799 0.2446
18 P 0.4058 0.2857 0.7554
19 P 0.1202 0.4058 0.2446
20 Ho 0.3333 0.6666 0.7498
21 Ho 0.6667 0.3334 0.2502

Entry 7:
# BaUSi2O8

Crystalline BaUSi2O8 at its relaxed geometry (r²SCAN, Materials Project).

Calculated values
energy of formation: -3.242 eV per atom
final energy: -17.556 eV per atom
symmetry: No. 63

Cell: 8.7075 8.7075 7.6427 Å, 90.00 90.00 141.86°
Positions (direct):
1 O 0.5908 0.8708 0.5377
2 O 0.7665 0.2335 0.7500
3 O 0.8708 0.5908 0.4623
4 O 0.4092 0.1292 0.0377
5 O 0.9893 0.0107 0.7500
6 O 0.8708 0.5908 0.0377
7 O 0.6065 0.3935 0.7500
8 O 0.3935 0.6065 0.2500
9 O 0.4092 0.1292 0.4623
10 O 0.1292 0.4092 0.9623
11 O 0.0107 0.9893 0.2500
12 O 0.1292 0.4092 0.5377
13 O 0.5908 0.8708 0.9623
14 O 0.5000 0.5000 0.5000
15 O 0.5000 0.5000 0.0000
16 O 0.2335 0.7665 0.2500
17 Si 0.5954 0.4046 0.5407
18 Si 0.4046 0.5954 0.4593
19 Si 0.5954 0.4046 0.9593
20 Si 0.4046 0.5954 0.0407
21 U 0.8785 0.1215 0.7500
22 U 0.1215 0.8785 0.2500
23 Ba 0.2102 0.7898 0.7500
24 Ba 0.7898 0.2102 0.2500

Entry 8:
# Ti6P2O

Crystalline Ti6P2O at its relaxed geometry (r²SCAN, Materials Project).

Calculated values
energy of formation: -1.404 eV per atom
final energy: -12.693 eV per atom
symmetry: No. 12

Cell: 5.1867 5.1867 7.6955 Å, 88.84 88.84 36.90°
Positions (direct):
1 Ti 0.1376 0.1376 0.4529
2 Ti 0.1394 0.1394 0.0560
3 Ti 0.8624 0.8624 0.5471
4 Ti 0.4445 0.4445 0.2400
5 Ti 0.5555 0.5555 0.7600
6 Ti 0.8606 0.8606 0.9440
7 P 0.2510 0.2510 0.7512
8 P 0.7490 0.7490 0.2488
9 O 0.5000 0.5000 0.5000

Entry 9:
# Pd3Se2S

Crystalline Pd3Se2S at its relaxed geometry (r²SCAN, Materials Project).

Calculated values
energy of formation: -0.418 eV per atom
final energy: -18.008 eV per atom
symmetry: No. 135

Cell: 11.4787 11.4787 6.9778 Å, 90.00 90.00 90.00°
Positions (direct):
1 Pd 0.3689 0.5448 0.0000
2 Pd 0.9552 0.1311 0.5000
3 Pd 0.7228 0.8603 0.5000
4 Pd 0.5448 0.6311 0.5000
5 Pd 0.2772 0.1397 0.5000
6 Pd 0.8603 0.2772 0.0000
7 Pd 0.2228 0.6397 0.5000
8 Pd 0.8916 0.6084 0.2500
9 Pd 0.6311 0.4552 0.0000
10 Pd 0.1397 0.7228 0.0000
11 Pd 0.7772 0.3603 0.5000
12 Pd 0.1311 0.0448 0.0000
13 Pd 0.8689 0.9552 0.0000
14 Pd 0.0448 0.8689 0.5000
15 Pd 0.6397 0.7772 0.0000
16 Pd 0.3603 0.2228 0.0000
17 Pd 0.1084 0.3916 0.7500
18 Pd 0.1084 0.3916 0.2500
19 Pd 0.6084 0.1084 0.2500
20 Pd 0.8916 0.6084 0.7500
21 Pd 0.6084 0.1084 0.7500
22 Pd 0.4552 0.3689 0.5000
23 Pd 0.3916 0.8916 0.7500
24 Pd 0.3916 0.8916 0.2500
25 S 0.0952 0.5952 0.7500
26 S 0.5952 0.9048 0.2500
27 S 0.4048 0.0952 0.2500
28 S 0.9048 0.4048 0.7500
29 S 0.9048 0.4048 0.2500
30 S 0.5952 0.9048 0.7500
31 S 0.4048 0.0952 0.7500
32 S 0.0952 0.5952 0.2500
33 Se 0.3867 0.6782 0.2770
34 Se 0.8218 0.1133 0.7770
35 Se 0.8867 0.8218 0.2770
36 Se 0.1133 0.1782 0.2770
37 Se 0.6133 0.3218 0.7230
38 Se 0.8218 0.1133 0.2230
39 Se 0.1782 0.8867 0.7770
40 Se 0.3218 0.3867 0.7770
41 Se 0.6782 0.6133 0.7770
42 Se 0.3218 0.3867 0.2230
43 Se 0.1782 0.8867 0.2230
44 Se 0.1133 0.1782 0.7230
45 Se 0.6133 0.3218 0.2770
46 Se 0.8867 0.8218 0.7230
47 Se 0.6782 0.6133 0.2230
48 Se 0.3867 0.6782 0.7230

Entry 10:
# Ni2Mo4C

Crystalline Ni2Mo4C at its relaxed geometry (r²SCAN, Materials Project).

Calculated values
energy of formation: -0.098 eV per atom
final energy: -19.841 eV per atom
symmetry: No. 227

Cell: 7.9474 7.9474 7.9474 Å, 60.00 60.00 60.00°
Positions (direct):
1 Ni 0.9177 0.9177 0.2469
2 Ni 0.9177 0.2469 0.9177
3 Ni 0.9177 0.9177 0.9177
4 Ni 0.3323 0.3323 0.0031
5 Ni 0.3323 0.0031 0.3323
6 Ni 0.3323 0.3323 0.3323
7 Ni 0.0031 0.3323 0.3323
8 Ni 0.2469 0.9177 0.9177
9 Mo 0.5604 0.9396 0.9396
10 Mo 0.1250 0.1250 0.6250
11 Mo 0.6896 0.3104 0.3104
12 Mo 0.6896 0.6896 0.3104
13 Mo 0.5604 0.9396 0.5604
14 Mo 0.1250 0.6250 0.1250
15 Mo 0.3104 0.3104 0.6896
16 Mo 0.5604 0.5604 0.9396
17 Mo 0.6250 0.1250 0.1250
18 Mo 0.9396 0.5604 0.5604
19 Mo 0.9396 0.9396 0.5604
20 Mo 0.9396 0.5604 0.9396
21 Mo 0.1250 0.1250 0.1250
22 Mo 0.6896 0.3104 0.6896
23 Mo 0.3104 0.6896 0.6896
24 Mo 0.3104 0.6896 0.3104
25 C 0.1250 0.6250 0.6250
26 C 0.6250 0.6250 0.6250
27 C 0.6250 0.6250 0.1250
28 C 0.6250 0.1250 0.6250

Entry 11:
# YbCdIn

Crystalline YbCdIn at its relaxed geometry (r²SCAN, Materials Project).

Calculated values
energy of formation: -0.432 eV per atom
final energy: -26.837 eV per atom
symmetry: No. 164

Cell: 4.7886 4.7886 7.3138 Å, 90.00 90.00 120.00°
Positions (direct):
1 Yb 0.0000 0.0000 0.2642
2 Yb 0.0000 0.0000 0.7358
3 In 0.3333 0.6667 0.0569
4 In 0.6667 0.3333 0.9431
5 Cd 0.6667 0.3333 0.5284
6 Cd 0.3333 0.6667 0.4716

Entry 12:
# MgRhF6

Crystalline MgRhF6 at its relaxed geometry (r²SCAN, Materials Project).

Calculated values
energy of formation: -2.483 eV per atom
final energy: -8.365 eV per atom
symmetry: No. 148

Cell: 5.3570 5.3570 5.3570 Å, 55.38 55.38 55.38°
Positions (direct):
1 F 0.3813 0.1086 0.7579
2 F 0.8914 0.2421 0.6187
3 F 0.6187 0.8914 0.2421
4 F 0.1086 0.7579 0.3813
5 F 0.7579 0.3813 0.1086
6 F 0.2421 0.6187 0.8914
7 Rh 0.0000 0.0000 0.0000
8 Mg 0.5000 0.5000 0.5000

| no. | magnetization (μB per formula unit) |
| --- | --- |
| 1 | 0.0 |
| 2 | 0.0 |
| 3 | 0.0 |
| 4 | 0.8 |
| 5 | 0.0 |
| 6 | 0.0 |
| 7 | 0.0 |
| 8 | 0.0 |
| 9 | 0.0 |
| 10 | 0.0 |
| 11 | 0.0 |
| 12 | 1.0 |